# 1
A plane-wave DFT calculation with meta-GGA r2SCAN was carried out for an optimized crystal structure of Li2MoO3.

Unit cell a=4.9312 b=4.9360 c=5.2117 alpha=82.14 beta=71.19 gamma=62.86
With the nearest neighbours (Å) after each atom.
Space group P-1 (No. 2)
Asymmetric unit:
Li (0.0000, 0.0000, 0.0000) x1  6 O 2.05-2.11
Li (0.1409, 0.6922, 0.5121) x2  6 O 2.00-2.23
Li (0.5000, 0.0000, 0.5000) x1  4 O 1.99-2.09
Mo (0.3574, 0.3613, 0.9967) x2  6 O 1.98-2.15
O (0.0642, 0.3565, 0.7712) x2  2 Mo 1.98-2.15, 3 Li 2.08-2.13
O (0.2757, 0.9939, 0.2237) x2  2 Mo 2.00-2.15, 4 Li 2.05-2.14
O (0.4121, 0.6769, 0.7328) x2  2 Mo 1.99-2.02, 3 Li 1.99-2.11

**Final energy**: -10.348 eV/atom
**Relative energy among the computed polymorphs**: 0 kJ/mol of formula units

---

# 2
A plane-wave DFT calculation with meta-GGA r2SCAN was carried out for an optimized crystal structure of Li3Mo6S8.

Unit cell a=6.6513 b=6.6998 c=13.3003 alpha=94.01 beta=94.67 gamma=95.62
With the nearest neighbours (Å) after each atom.
Space group P1 (No. 1)
Asymmetric unit:
Li (0.0000, 0.0000, 0.0000) x1  4 S 2.42-2.49
Li (0.0255, 0.9844, 0.5142) x1  4 S 2.37-2.53
Li (0.0513, 0.3887, 0.7873) x1  4 S 2.37-2.50
Li (0.1887, 0.9162, 0.7669) x1  4 S 2.45-2.57
Li (0.4350, 0.9397, 0.3094) x1  4 S 2.42-2.48
Li (0.9625, 0.1162, 0.2709) x1  4 S 2.47-2.53
Mo (0.2746, 0.3941, 0.0731) x1  5 S 2.46-2.60, 4 Mo 2.64-2.66
Mo (0.2792, 0.3841, 0.5721) x1  5 S 2.47-2.59, 4 Mo 2.63-2.69
Mo (0.4484, 0.5302, 0.9163) x1  5 S 2.44-2.59, 4 Mo 2.63-2.68
Mo (0.4560, 0.5189, 0.4167) x1  5 S 2.45-2.59, 4 Mo 2.63-2.67
Mo (0.4919, 0.7514, 0.0938) x1  5 S 2.44-2.61, 4 Mo 2.64-2.68
Mo (0.5038, 0.7432, 0.5930) x1  5 S 2.45-2.64, 4 Mo 2.64-2.69
Mo (0.5809, 0.2170, 0.0041) x1  5 S 2.42-2.60, 4 Mo 2.65-2.69
Mo (0.5889, 0.2085, 0.5048) x1  5 S 2.46-2.62, 4 Mo 2.65-2.66
Mo (0.6283, 0.4379, 0.1832) x1  5 S 2.45-2.62, 4 Mo 2.63-2.69
Mo (0.6329, 0.4312, 0.6802) x1  5 S 2.47-2.60, 4 Mo 2.63-2.66
Mo (0.7982, 0.5757, 0.0266) x1  5 S 2.47-2.62, 4 Mo 2.63-2.67
Mo (0.8127, 0.5627, 0.5249) x1  5 S 2.45-2.59, 4 Mo 2.63-2.67
S (0.1687, 0.6942, 0.9868) x1  1 Li 2.43, 4 Mo 2.46-2.62
S (0.1801, 0.6825, 0.4882) x1  1 Li 2.37, 4 Mo 2.45-2.59
S (0.2491, 0.1953, 0.9053) x1  3 Mo 2.46-2.50, 3 Li 2.48-2.51
S (0.2545, 0.1851, 0.4068) x1  3 Mo 2.47-2.48, 3 Li 2.48-2.53
S (0.3295, 0.5990, 0.2358) x1  1 Li 2.43, 4 Mo 2.46-2.59
S (0.3324, 0.5981, 0.7326) x1  2 Li 2.42-2.45, 4 Mo 2.46-2.59
S (0.4161, 0.1129, 0.1559) x1  1 Li 2.42, 4 Mo 2.46-2.61
S (0.4187, 0.1043, 0.6563) x1  4 Mo 2.47-2.64, 1 Li 2.52
S (0.6530, 0.8560, 0.9413) x1  4 Mo 2.44-2.60, 1 Li 2.46
S (0.6732, 0.8485, 0.4430) x1  2 Li 2.43-2.51, 4 Mo 2.48-2.62
S (0.7427, 0.3621, 0.8654) x1  1 Li 2.37, 4 Mo 2.42-2.60
S (0.7586, 0.3522, 0.3650) x1  4 Mo 2.45-2.62, 1 Li 2.51
S (0.8194, 0.7713, 0.1927) x1  3 Mo 2.44-2.48, 1 Li 2.53
S (0.8371, 0.7633, 0.6880) x1  3 Mo 2.45-2.48, 1 Li 2.57
S (0.9070, 0.2733, 0.1099) x1  2 Li 2.42-2.47, 4 Mo 2.47-2.60
S (0.9137, 0.2644, 0.6113) x1  2 Li 2.41-2.50, 4 Mo 2.47-2.59

**Final energy**: -14.419 eV/atom

---

Q: final energy of number 2 (Li3Mo6S8)?
A: -14.419 eV/atom

---

Q: Among the records above, which one has the highest final energy?
A: Li2MoO3

---

Q: Look up the final energy of the first one.
A: -10.348 eV/atom

---

Q: Which value of final energy does entry 2 give?
A: -14.419 eV/atom